Entry 1:
First-principles (PBE with a Hubbard U) data for a geometry-optimized Li3Fe4P8O28 structure, as listed in the Materials Project.

- Excess energy over the best structure of this formula in the dataset: 0.000 eV per atom
- Calculated total energy: -6.882 eV/atom
- Magnetic moment: 20.0 μB/f.u.
- Calculated density: 3.0 Mg/m³

Lattice parameters (Å, degrees): 9.719 9.848 11.143 90.18 101.85 90.10
Space group P1 (No. 1)
Unique sites:
Li1 0.000 0.000 0.000 (multiplicity 1)
Li2 0.019 0.389 0.426 (multiplicity 1)
Li3 0.059 0.682 0.500 (multiplicity 1)
Li4 0.313 0.502 0.944 (multiplicity 1)
Li5 0.501 0.713 0.002 (multiplicity 1)
Li6 0.815 0.212 0.947 (multiplicity 1)
Fe1 0.111 0.183 0.640 (multiplicity 1)
Fe2 0.152 0.896 0.794 (multiplicity 1)
Fe3 0.155 0.403 0.150 (multiplicity 1)
Fe4 0.205 0.692 0.298 (multiplicity 1)
Fe5 0.613 0.524 0.633 (multiplicity 1)
Fe6 0.657 0.807 0.794 (multiplicity 1)
Fe7 0.660 0.311 0.153 (multiplicity 1)
Fe8 0.700 0.021 0.313 (multiplicity 1)
P1 0.021 0.392 0.856 (multiplicity 1)
P2 0.033 0.963 0.401 (multiplicity 1)
P3 0.283 0.461 0.550 (multiplicity 1)
P4 0.293 0.897 0.086 (multiplicity 1)
P5 0.343 0.681 0.736 (multiplicity 1)
P6 0.385 0.160 0.221 (multiplicity 1)
P7 0.429 0.052 0.726 (multiplicity 1)
P8 0.469 0.530 0.212 (multiplicity 1)
P9 0.523 0.319 0.856 (multiplicity 1)
P10 0.531 0.749 0.402 (multiplicity 1)
P11 0.779 0.249 0.544 (multiplicity 1)
P12 0.791 0.819 0.091 (multiplicity 1)
P13 0.844 0.030 0.734 (multiplicity 1)
P14 0.885 0.553 0.221 (multiplicity 1)
P15 0.929 0.659 0.728 (multiplicity 1)
P16 0.971 0.180 0.213 (multiplicity 1)
O1 0.010 0.519 0.763 (multiplicity 1)
O2 0.010 0.765 0.819 (multiplicity 1)
O3 0.038 0.568 0.192 (multiplicity 1)
O4 0.040 0.045 0.276 (multiplicity 1)
O5 0.063 0.302 0.270 (multiplicity 1)
O6 0.087 0.281 0.789 (multiplicity 1)
O7 0.090 0.821 0.380 (multiplicity 1)
O8 0.121 0.042 0.507 (multiplicity 1)
O9 0.128 0.440 0.975 (multiplicity 1)
O10 0.185 0.543 0.448 (multiplicity 1)
O11 0.187 0.946 0.969 (multiplicity 1)
O12 0.214 0.324 0.565 (multiplicity 1)
O13 0.226 0.783 0.149 (multiplicity 1)
O14 0.240 0.793 0.677 (multiplicity 1)
O15 0.276 0.066 0.750 (multiplicity 1)
O16 0.280 0.540 0.677 (multiplicity 1)
O17 0.299 0.266 0.135 (multiplicity 1)
O18 0.303 0.020 0.184 (multiplicity 1)
O19 0.316 0.522 0.239 (multiplicity 1)
O20 0.343 0.674 0.871 (multiplicity 1)
O21 0.374 0.755 0.405 (multiplicity 1)
O22 0.379 0.191 0.352 (multiplicity 1)
O23 0.381 0.347 0.882 (multiplicity 1)
O24 0.433 0.019 0.594 (multiplicity 1)
O25 0.434 0.453 0.537 (multiplicity 1)
O26 0.435 0.869 0.062 (multiplicity 1)
O27 0.466 0.546 0.077 (multiplicity 1)
O28 0.494 0.691 0.708 (multiplicity 1)
O29 0.509 0.193 0.760 (multiplicity 1)
O30 0.513 0.945 0.811 (multiplicity 1)
O31 0.537 0.143 0.196 (multiplicity 1)
O32 0.538 0.664 0.277 (multiplicity 1)
O33 0.563 0.409 0.262 (multiplicity 1)
O34 0.586 0.431 0.790 (multiplicity 1)
O35 0.588 0.888 0.377 (multiplicity 1)
O36 0.617 0.672 0.509 (multiplicity 1)
O37 0.627 0.269 0.975 (multiplicity 1)
O38 0.687 0.771 0.971 (multiplicity 1)
O39 0.693 0.171 0.437 (multiplicity 1)
O40 0.723 0.388 0.570 (multiplicity 1)
O41 0.725 0.930 0.157 (multiplicity 1)
O42 0.748 0.910 0.683 (multiplicity 1)
O43 0.775 0.642 0.752 (multiplicity 1)
O44 0.779 0.164 0.668 (multiplicity 1)
O45 0.801 0.446 0.134 (multiplicity 1)
O46 0.803 0.693 0.185 (multiplicity 1)
O47 0.819 0.189 0.239 (multiplicity 1)
O48 0.846 0.046 0.869 (multiplicity 1)
O49 0.878 0.954 0.408 (multiplicity 1)
O50 0.880 0.364 0.882 (multiplicity 1)
O51 0.892 0.530 0.355 (multiplicity 1)
O52 0.933 0.686 0.598 (multiplicity 1)
O53 0.933 0.849 0.067 (multiplicity 1)
O54 0.936 0.261 0.534 (multiplicity 1)
O55 0.975 0.171 0.079 (multiplicity 1)
O56 0.996 0.018 0.707 (multiplicity 1)

=====

Entry 2:
First-principles (PBE with a Hubbard U) data for a geometry-optimized Na2TiCrP3O12 structure, as listed in the Materials Project.

- Excess energy over the best structure of this formula in the dataset: 0.000 eV per atom
- Calculated total energy: -7.306 eV/atom
- Magnetic moment: 3.0 μB/f.u.
- Calculated density: 3.0 Mg/m³

Lattice parameters (Å, degrees): 15.048 8.710 8.872 90.00 124.41 90.00
Space group C2 (No. 5)
Unique sites:
Na1 0.183 0.000 0.000 (multiplicity 4)
Na2 0.247 0.320 0.253 (multiplicity 4)
Ti1 0.108 0.817 0.321 (multiplicity 4)
Cr1 0.101 0.319 0.808 (multiplicity 4)
P1 0.000 0.030 0.500 (multiplicity 2)
P2 0.000 0.109 0.000 (multiplicity 2)
P3 0.143 0.671 0.000 (multiplicity 4)
P4 0.144 0.461 0.501 (multiplicity 4)
O1 0.043 0.745 0.831 (multiplicity 4)
O2 0.046 0.392 0.329 (multiplicity 4)
O3 0.070 0.004 0.169 (multiplicity 4)
O4 0.073 0.124 0.675 (multiplicity 4)
O5 0.077 0.925 0.482 (multiplicity 4)
O6 0.081 0.206 0.987 (multiplicity 4)
O7 0.144 0.707 0.171 (multiplicity 4)
O8 0.149 0.639 0.482 (multiplicity 4)
O9 0.150 0.437 0.678 (multiplicity 4)
O10 0.152 0.496 0.988 (multiplicity 4)
O11 0.241 0.746 0.012 (multiplicity 4)
O12 0.244 0.390 0.519 (multiplicity 4)

=====

Entry 3:
First-principles (PBE with a Hubbard U) data for a geometry-optimized Li4Co3O7 structure, as listed in the Materials Project.

- Excess energy over the best structure of this formula in the dataset: 0.030 eV per atom
- Calculated total energy: -5.529 eV/atom
- Magnetic moment: 1.0 μB/f.u.
- Calculated density: 4.2 Mg/m³

Lattice parameters (Å, degrees): 28.908 2.948 5.917 90.00 96.41 90.00
Space group C2/m (No. 12)
Unique sites:
Li1 0.000 0.000 0.000 (multiplicity 2)
Li2 0.000 0.000 0.500 (multiplicity 2)
Li3 0.070 0.500 0.289 (multiplicity 4)
Li4 0.141 0.000 0.572 (multiplicity 4)
Li5 0.215 0.500 0.858 (multiplicity 4)
Co1 0.068 0.500 0.775 (multiplicity 4)
Co2 0.140 0.000 0.073 (multiplicity 4)
Co3 0.214 0.500 0.354 (multiplicity 4)
O1 0.007 0.500 0.754 (multiplicity 4)
O2 0.071 0.000 0.553 (multiplicity 4)
O3 0.072 0.000 0.024 (multiplicity 4)
O4 0.136 0.500 0.834 (multiplicity 4)
O5 0.144 0.500 0.301 (multiplicity 4)
O6 0.212 0.000 0.119 (multiplicity 4)
O7 0.215 0.000 0.591 (multiplicity 4)

=====

Entry 4:
First-principles (PBE with a Hubbard U) data for a geometry-optimized Cr3Si3Pb10Cl2O24 structure, as listed in the Materials Project.

- Calculated total energy: -6.307 eV/atom
- Magnetic moment: 0.0 μB/f.u.
- Calculated density: 6.6 Mg/m³

Lattice parameters (Å, degrees): 10.315 7.458 10.359 90.00 119.85 90.00
Space group Pm (No. 6)
Unique sites:
Cr1 0.000 0.000 0.000 (multiplicity 1)
Cr2 0.030 0.500 0.626 (multiplicity 1)
Cr3 0.373 0.500 0.409 (multiplicity 1)
Si1 0.431 0.000 0.649 (multiplicity 1)
Si2 0.792 0.000 0.446 (multiplicity 1)
Si3 0.816 0.500 0.058 (multiplicity 1)
Pb1 0.051 0.237 0.355 (multiplicity 2)
Pb2 0.150 0.000 0.760 (multiplicity 1)
Pb3 0.155 0.500 0.042 (multiplicity 1)
Pb4 0.445 0.500 0.796 (multiplicity 1)
Pb5 0.455 0.000 0.298 (multiplicity 1)
Pb6 0.636 0.000 0.009 (multiplicity 1)
Pb7 0.661 0.500 0.254 (multiplicity 1)
Pb8 0.718 0.245 0.690 (multiplicity 2)
Cl1 0.402 0.254 0.024 (multiplicity 2)
O1 0.001 0.500 0.137 (multiplicity 1)
O2 0.053 0.180 0.944 (multiplicity 2)
O3 0.067 0.000 0.184 (multiplicity 1)
O4 0.139 0.320 0.674 (multiplicity 2)
O5 0.247 0.000 0.547 (multiplicity 1)
O6 0.289 0.500 0.511 (multiplicity 1)
O7 0.316 0.322 0.298 (multiplicity 2)
O8 0.501 0.178 0.760 (multiplicity 2)
O9 0.522 0.000 0.553 (multiplicity 1)
O10 0.560 0.500 0.522 (multiplicity 1)
O11 0.679 0.177 0.394 (multiplicity 2)
O12 0.727 0.500 0.873 (multiplicity 1)
O13 0.772 0.322 0.125 (multiplicity 2)
O14 0.811 0.000 0.909 (multiplicity 1)
O15 0.893 0.000 0.630 (multiplicity 1)
O16 0.903 0.000 0.373 (multiplicity 1)
O17 0.922 0.500 0.702 (multiplicity 1)
O18 0.930 0.500 0.437 (multiplicity 1)